1.
A relaxed structure of FeCuRh4Se8. Source: the Materials Project, functional PBE.

abc: 7.361 7.361 7.361
angles: 60.00 60.00 60.00
Sites, in units of the cell vectors:
1 Se 0.367 0.367 0.899
2 Se 0.367 0.367 0.367
3 Se 0.886 0.343 0.886
4 Se 0.886 0.886 0.343
5 Se 0.367 0.899 0.367
6 Se 0.899 0.367 0.367
7 Se 0.886 0.886 0.886
8 Se 0.343 0.886 0.886
9 Fe 0.500 0.500 0.500
10 Rh 0.628 0.124 0.124
11 Rh 0.124 0.628 0.124
12 Rh 0.124 0.124 0.628
13 Rh 0.124 0.124 0.124
14 Cu 0.750 0.750 0.750

=====

2.
A relaxed structure of FeCu2S2. Source: the Materials Project, functional PBE.

abc: 7.647 7.647 7.647
angles: 60.00 60.00 60.00
Sites, in units of the cell vectors:
1 S 0.503 0.997 0.997
2 S 0.500 0.500 0.500
3 S 0.997 0.503 0.997
4 S 0.997 0.503 0.503
5 S 0.503 0.997 0.503
6 S 0.000 0.000 0.000
7 S 0.997 0.997 0.503
8 S 0.503 0.503 0.997
9 Cu 0.619 0.144 0.619
10 Cu 0.130 0.609 0.130
11 Cu 0.130 0.130 0.130
12 Cu 0.609 0.130 0.130
13 Cu 0.130 0.130 0.609
14 Cu 0.619 0.619 0.144
15 Cu 0.619 0.619 0.619
16 Cu 0.144 0.619 0.619
17 Fe 0.875 0.875 0.376
18 Fe 0.875 0.376 0.875
19 Fe 0.376 0.875 0.875
20 Fe 0.875 0.875 0.875

=====

3.
A relaxed structure of FeCu5S4. Source: the Materials Project, functional PBE.

abc: 3.806 6.629 6.758
angles: 70.66 90.00 90.00
Sites, in units of the cell vectors:
1 Cu 0.000 0.613 0.142
2 Cu 0.500 0.127 0.132
3 Cu 0.500 0.367 0.405
4 Cu 0.000 0.389 0.859
5 Cu 0.500 0.872 0.861
6 Fe 0.000 0.868 0.385
7 S 0.000 0.994 0.013
8 S 0.000 0.503 0.508
9 S 0.500 0.498 0.004
10 S 0.500 0.997 0.507

=====

4.
A relaxed structure of FeCu3S8. Source: the Materials Project, functional PBE.

abc: 5.701 5.692 12.791
angles: 64.06 90.00 90.00
Sites, in units of the cell vectors:
1 Cu 0.000 0.500 0.000
2 Cu 0.503 0.251 0.251
3 Cu 0.997 0.251 0.751
4 Cu 0.003 0.749 0.249
5 Cu 0.500 0.500 0.500
6 Cu 0.497 0.749 0.749
7 S 0.403 0.572 0.049
8 S 0.404 0.091 0.811
9 S 0.596 0.909 0.189
10 S 0.097 0.572 0.549
11 S 0.397 0.599 0.300
12 S 0.897 0.401 0.200
13 S 0.879 0.950 0.951
14 S 0.096 0.091 0.311
15 S 0.103 0.599 0.800
16 S 0.121 0.050 0.049
17 S 0.621 0.950 0.451
18 S 0.904 0.909 0.689
19 S 0.379 0.050 0.549
20 S 0.597 0.428 0.951
21 S 0.603 0.401 0.700
22 S 0.903 0.428 0.451
23 Fe 0.500 0.000 0.000
24 Fe 0.000 0.000 0.500

=====

5.
A relaxed structure of FeCu2S2. Source: the Materials Project, functional PBE.

abc: 7.639 7.639 7.639
angles: 60.00 60.00 60.00
Sites, in units of the cell vectors:
1 Cu 0.880 0.880 0.880
2 Cu 0.609 0.130 0.130
3 Cu 0.130 0.609 0.130
4 Cu 0.880 0.880 0.361
5 Cu 0.880 0.361 0.880
6 Cu 0.130 0.130 0.609
7 Cu 0.361 0.880 0.880
8 Cu 0.130 0.130 0.130
9 S 0.744 0.256 0.744
10 S 0.250 0.250 0.250
11 S 0.750 0.750 0.750
12 S 0.744 0.256 0.256
13 S 0.744 0.744 0.256
14 S 0.256 0.744 0.744
15 S 0.256 0.256 0.744
16 S 0.256 0.744 0.256
17 Fe 0.127 0.624 0.624
18 Fe 0.624 0.624 0.127
19 Fe 0.624 0.127 0.624
20 Fe 0.624 0.624 0.624

=====

6.
A relaxed structure of Fe4Cu2S7. Source: the Materials Project, functional PBE.

abc: 5.120 8.276 11.708
angles: 90.00 90.00 90.00
Sites, in units of the cell vectors:
1 Cu 0.511 0.000 0.227
2 Cu 0.989 0.000 0.227
3 Cu 0.489 0.000 0.773
4 Cu 0.011 0.000 0.773
5 S 0.250 0.785 0.162
6 S 0.750 0.500 0.621
7 S 0.250 0.000 0.945
8 S 0.750 0.215 0.838
9 S 0.750 0.191 0.366
10 S 0.250 0.500 0.379
11 S 0.750 0.500 0.168
12 S 0.750 0.809 0.366
13 S 0.250 0.191 0.634
14 S 0.250 0.809 0.634
15 S 0.750 0.785 0.838
16 S 0.750 0.000 0.055
17 S 0.250 0.215 0.162
18 S 0.250 0.500 0.832
19 Fe 0.500 0.653 0.272
20 Fe 0.500 0.347 0.728
21 Fe 0.000 0.347 0.728
22 Fe 0.500 0.347 0.272
23 Fe 0.000 0.653 0.272
24 Fe 0.000 0.653 0.728
25 Fe 0.500 0.653 0.728
26 Fe 0.000 0.347 0.272

=====

7.
A relaxed structure of FeCu3S8. Source: the Materials Project, functional PBE.

abc: 5.697 5.697 5.697
angles: 89.50 89.50 89.50
Sites, in units of the cell vectors:
1 Cu 0.000 0.500 0.500
2 Cu 0.500 0.500 0.000
3 Cu 0.500 0.000 0.500
4 S 0.602 0.602 0.602
5 S 0.398 0.398 0.398
6 S 0.379 0.098 0.902
7 S 0.621 0.902 0.098
8 S 0.902 0.098 0.621
9 S 0.902 0.379 0.098
10 S 0.098 0.902 0.379
11 S 0.098 0.621 0.902
12 Fe 0.000 0.000 0.000

=====

8.
A relaxed structure of FeCu5S4. Source: the Materials Project, functional PBE.

abc: 12.796 12.796 12.796
angles: 17.27 17.27 17.27
Sites, in units of the cell vectors:
1 Cu 0.441 0.441 0.441
2 Cu 0.060 0.060 0.060
3 Cu 0.566 0.566 0.566
4 Cu 0.831 0.831 0.831
5 Cu 0.686 0.686 0.686
6 S 0.993 0.993 0.993
7 S 0.747 0.747 0.747
8 S 0.247 0.247 0.247
9 S 0.501 0.501 0.501
10 Fe 0.305 0.305 0.305

=====

9.
A relaxed structure of Fe2Cu10Sb4S13. Source: the Materials Project, functional PBE.

abc: 9.003 9.003 9.003
angles: 109.57 109.57 109.28
Sites, in units of the cell vectors:
1 Fe 0.776 0.776 0.000
2 Fe 0.224 0.224 0.000
3 Cu 0.778 0.000 0.778
4 Cu 0.250 0.500 0.750
5 Cu 0.000 0.222 0.222
6 Cu 0.000 0.778 0.778
7 Cu 0.750 0.500 0.250
8 Cu 0.250 0.750 0.500
9 Cu 0.500 0.250 0.750
10 Cu 0.750 0.250 0.500
11 Cu 0.222 0.000 0.222
12 Cu 0.500 0.750 0.250
13 S 0.000 0.000 0.000
14 S 0.251 0.481 0.000
15 S 0.232 0.750 0.750
16 S 0.481 0.251 0.000
17 S 0.481 0.999 0.250
18 S 0.749 0.749 0.229
19 S 0.519 0.768 0.518
20 S 0.519 0.519 0.771
21 S 0.999 0.481 0.250
22 S 0.001 0.250 0.482
23 S 0.750 0.232 0.750
24 S 0.250 0.001 0.482
25 S 0.768 0.519 0.518
26 Sb 0.543 0.995 0.000
27 Sb 0.005 0.005 0.548
28 Sb 0.457 0.457 0.452
29 Sb 0.995 0.543 0.000

=====

10.
A relaxed structure of FeCu2SiS4. Source: the Materials Project, functional PBE.

abc: 6.130 6.387 7.393
angles: 90.00 90.00 90.00
Sites, in units of the cell vectors:
1 Cu 0.492 0.326 0.747
2 Cu 0.992 0.674 0.753
3 Cu 0.992 0.674 0.247
4 Cu 0.492 0.326 0.253
5 Fe 0.002 0.155 0.500
6 Fe 0.502 0.845 0.000
7 S 0.617 0.668 0.259
8 S 0.117 0.332 0.759
9 S 0.617 0.668 0.741
10 S 0.623 0.146 0.500
11 S 0.117 0.332 0.241
12 S 0.147 0.825 0.500
13 S 0.123 0.854 0.000
14 S 0.647 0.175 0.000
15 Si 0.501 0.828 0.500
16 Si 0.001 0.172 0.000

=====

11.
A relaxed structure of Fe3CuSn2S8. Source: the Materials Project, functional PBE.

abc: 7.112 7.112 7.112
angles: 120.56 119.24 90.18
Sites, in units of the cell vectors:
1 S 0.602 0.860 0.258
2 S 0.146 0.385 0.239
3 S 0.602 0.345 0.742
4 S 0.587 0.372 0.215
5 S 0.162 0.879 0.283
6 S 0.157 0.372 0.785
7 S 0.595 0.879 0.717
8 S 0.146 0.908 0.761
9 Cu 0.758 0.258 0.500
10 Sn 0.871 0.624 0.247
11 Sn 0.377 0.624 0.753
12 Fe 0.376 0.130 0.754
13 Fe 0.376 0.622 0.246
14 Fe 0.994 0.994 0.000

=====

12.
A relaxed structure of FeCu2SnS4. Source: the Materials Project, functional PBE.

abc: 5.467 5.467 5.384
angles: 90.00 90.00 90.00
Sites, in units of the cell vectors:
1 S 0.736 0.264 0.736
2 S 0.264 0.736 0.736
3 S 0.264 0.264 0.264
4 S 0.736 0.736 0.264
5 Cu 0.000 0.500 0.500
6 Cu 0.500 0.000 0.500
7 Fe 0.500 0.500 0.000
8 Sn 0.000 0.000 0.000

=====

Looking at electronic total energy for the records above, in order, we have -5.36 -5.12 -4.71 -4.67 -5.08 -5.68 -4.68 -4.69 -4.62 -5.24 -5.38 -4.98 eV per atom.
Looking at energy with MP2020 corrections for the records above, in order, we have -78.8 -106.4 -49.1 -120.1 -105.6 -154.6 -60.2 -48.9 -140.5 -87.9 -79.4 -41.9 eV per cell.